LiCrP2O7 | PBE+U | relaxed

Computed properties:
E_form   -2.4866 eV/atom
Density   2.53 g/cm³
Calculated total energy   -77.57 eV per formula unit

```
LiCrP2O7
1.0
2.751 7.616 0.000
-2.751 7.616 0.000
0.000 3.999 7.289
Li Cr P O
2 2 4 14
Direct
0.414 0.045 0.676
0.045 0.414 0.176
0.974 0.022 0.494
0.022 0.974 0.994
0.249 0.537 0.356
0.459 0.754 0.151
0.754 0.459 0.651
0.537 0.249 0.856
0.252 0.955 0.283
0.692 0.093 0.701
0.095 0.708 0.502
0.503 0.497 0.258
0.708 0.095 0.002
0.093 0.692 0.201
0.955 0.252 0.783
0.876 0.327 0.486
0.655 0.721 0.595
0.721 0.655 0.095
0.327 0.876 0.986
0.342 0.276 0.439
0.276 0.342 0.939
0.497 0.503 0.758
```

LiCrP2O7 | PBE+U | relaxed

Computed properties:
E_form   -2.6360 eV/atom
Density   3.14 g/cm³
Calculated total energy   -79.21 eV per formula unit

```
LiCrP2O7
1.0
4.462 4.145 -4.516
-8.862 0.000 -4.364
-4.462 4.145 4.516
Li Cr P O
4 4 8 28
Direct
0.926 0.250 0.926
0.426 0.750 0.426
0.074 0.750 0.074
0.574 0.250 0.574
0.683 0.500 0.183
0.817 0.000 0.317
0.183 0.000 0.683
0.317 0.500 0.817
0.221 0.027 0.279
0.721 0.527 0.779
0.279 0.473 0.221
0.779 0.973 0.721
0.973 0.694 0.527
0.473 0.194 0.027
0.527 0.806 0.973
0.027 0.306 0.473
0.265 0.619 0.235
0.765 0.119 0.735
0.235 0.881 0.265
0.735 0.381 0.765
0.842 0.648 0.658
0.342 0.148 0.158
0.658 0.852 0.841
0.158 0.352 0.342
0.498 0.638 0.002
0.998 0.138 0.502
0.002 0.862 0.498
0.502 0.362 0.998
0.176 0.435 0.011
0.676 0.935 0.511
0.511 0.565 0.676
0.011 0.065 0.176
0.323 0.065 0.489
0.824 0.565 0.989
0.988 0.935 0.824
0.489 0.435 0.324
0.330 0.851 0.866
0.830 0.352 0.366
0.170 0.649 0.634
0.670 0.148 0.134
0.366 0.148 0.830
0.866 0.648 0.330
0.134 0.352 0.670
0.635 0.852 0.170
```

LiCrP4O12 | PBE+U | relaxed

Computed properties:
E_form   -2.6212 eV/atom
Density   2.84 g/cm³
Calculated total energy   -129.53 eV per formula unit

```
LiCrP4O12
1.0
0.882 -7.238 0.246
6.370 -1.837 -3.045
6.694 -2.713 6.711
Li Cr P O
2 2 8 24
Direct
0.039 0.961 0.250
0.961 0.039 0.750
0.500 0.000 0.000
0.000 0.500 0.500
0.318 0.304 0.696
0.731 0.260 0.471
0.696 0.682 0.804
0.260 0.731 0.971
0.304 0.318 0.196
0.269 0.740 0.529
0.682 0.696 0.304
0.740 0.269 0.029
0.493 0.780 0.432
0.189 0.341 0.352
0.811 0.659 0.648
0.319 0.807 0.071
0.466 0.677 0.836
0.090 0.851 0.907
0.873 0.699 0.332
0.807 0.319 0.571
0.220 0.507 0.068
0.149 0.910 0.593
0.677 0.466 0.336
0.323 0.534 0.664
0.659 0.811 0.148
0.301 0.127 0.168
0.534 0.323 0.164
0.341 0.189 0.852
0.681 0.193 0.929
0.507 0.220 0.568
0.851 0.090 0.407
0.780 0.493 0.932
0.193 0.681 0.429
0.127 0.301 0.668
0.910 0.149 0.093
0.699 0.873 0.832
```

Li3CrP2O8 | PBE+U | relaxed

Computed properties:
E_form   -2.5969 eV/atom
Density   3.03 g/cm³
Calculated total energy   -94.65 eV per formula unit

```
Li3CrP2O8
1.0
5.133 0.000 0.000
0.000 12.483 0.000
0.000 0.000 17.963
Li Cr P O
24 8 16 64
Direct
0.096 0.351 0.760
0.096 0.149 0.260
0.092 0.462 0.942
0.092 0.038 0.442
0.038 0.712 0.571
0.038 0.788 0.071
0.476 0.039 0.191
0.476 0.461 0.691
0.386 0.706 0.324
0.386 0.794 0.824
0.422 0.606 0.505
0.422 0.894 0.005
0.578 0.106 0.505
0.578 0.394 0.005
0.614 0.294 0.824
0.614 0.206 0.324
0.524 0.539 0.191
0.524 0.961 0.691
0.962 0.288 0.071
0.962 0.212 0.571
0.908 0.962 0.942
0.908 0.538 0.442
0.904 0.851 0.760
0.904 0.649 0.260
0.057 0.081 0.756
0.057 0.419 0.256
0.466 0.167 0.016
0.466 0.333 0.516
0.534 0.667 0.016
0.534 0.833 0.516
0.943 0.581 0.756
0.943 0.919 0.256
0.991 0.717 0.921
0.991 0.783 0.421
0.030 0.960 0.593
0.030 0.540 0.093
0.451 0.710 0.678
0.451 0.790 0.178
0.487 0.538 0.849
0.487 0.962 0.349
0.513 0.038 0.849
0.513 0.462 0.349
0.549 0.210 0.678
0.549 0.290 0.178
0.970 0.040 0.093
0.970 0.460 0.593
0.009 0.217 0.921
0.009 0.283 0.421
0.022 0.472 0.679
0.022 0.028 0.179
0.016 0.762 0.842
0.016 0.738 0.342
0.048 0.098 0.926
0.048 0.402 0.426
0.061 0.557 0.548
0.061 0.943 0.048
0.133 0.359 0.574
0.133 0.141 0.074
0.159 0.691 0.699
0.159 0.809 0.199
0.236 0.277 0.964
0.236 0.223 0.464
0.234 0.499 0.807
0.234 0.001 0.307
0.244 0.751 0.966
0.244 0.749 0.466
0.289 0.527 0.309
0.289 0.973 0.809
0.327 0.561 0.080
0.327 0.939 0.580
0.378 0.111 0.693
0.378 0.389 0.193
0.446 0.190 0.219
0.446 0.310 0.719
0.465 0.996 0.432
0.465 0.504 0.932
0.452 0.722 0.591
0.452 0.778 0.091
0.469 0.156 0.839
0.469 0.344 0.339
0.531 0.656 0.839
0.531 0.844 0.339
0.548 0.278 0.091
0.548 0.222 0.591
0.535 0.496 0.432
0.535 0.004 0.932
0.554 0.690 0.219
0.554 0.810 0.719
0.622 0.611 0.693
0.622 0.889 0.193
0.673 0.061 0.080
0.673 0.439 0.580
0.711 0.473 0.809
0.711 0.027 0.309
0.756 0.249 0.466
0.756 0.251 0.966
0.766 0.501 0.307
0.766 0.999 0.807
0.764 0.777 0.964
0.764 0.723 0.464
0.841 0.191 0.699
0.841 0.309 0.199
0.867 0.641 0.074
0.867 0.859 0.574
0.939 0.443 0.048
0.939 0.057 0.548
0.952 0.598 0.926
0.952 0.902 0.426
0.984 0.262 0.842
0.984 0.238 0.342
0.978 0.528 0.179
0.978 0.972 0.679
```

Li5Cr2P5O18 | PBE+U | relaxed

Computed properties:
E_form   -2.6625 eV/atom
Density   3.03 g/cm³
Calculated total energy   -208.49 eV per formula unit

```
Li5Cr2P5O18
1.0
9.311 -0.017 -0.162
-1.107 10.557 -0.550
-0.010 -0.009 6.482
Li Cr P O
10 4 10 36
Direct
0.062 0.870 0.983
0.938 0.130 0.017
0.869 0.644 0.178
0.785 0.343 0.880
0.724 0.414 0.450
0.131 0.356 0.822
0.215 0.657 0.120
0.276 0.586 0.550
0.372 0.861 0.342
0.628 0.139 0.658
0.769 0.949 0.331
0.642 0.598 0.768
0.358 0.402 0.232
0.231 0.051 0.669
0.582 0.653 0.281
0.582 0.175 0.167
0.728 0.897 0.831
0.985 0.599 0.776
0.048 0.801 0.482
0.015 0.401 0.224
0.272 0.103 0.169
0.418 0.825 0.833
0.418 0.347 0.719
0.952 0.199 0.518
0.320 0.814 0.015
0.965 0.681 0.581
0.923 0.096 0.340
0.984 0.314 0.029
0.016 0.686 0.971
0.077 0.904 0.660
0.035 0.319 0.419
0.068 0.167 0.677
0.109 0.521 0.730
0.181 0.755 0.386
0.165 0.480 0.220
0.175 0.045 0.983
0.891 0.479 0.270
0.247 0.237 0.228
0.372 0.914 0.668
0.256 0.021 0.357
0.338 0.383 0.918
0.932 0.833 0.323
0.420 0.597 0.257
0.451 0.694 0.737
0.404 0.200 0.678
0.430 0.101 0.079
0.570 0.899 0.921
0.596 0.800 0.322
0.549 0.306 0.263
0.580 0.403 0.743
0.652 0.587 0.459
0.662 0.617 0.082
0.744 0.979 0.643
0.628 0.086 0.332
0.753 0.763 0.772
0.680 0.186 0.985
0.825 0.955 0.017
0.835 0.520 0.780
0.819 0.245 0.614
0.348 0.413 0.541
```

Li3CrP2O8 | PBE+U | relaxed

Computed properties:
E_form   -2.6322 eV/atom
Density   2.76 g/cm³
Calculated total energy   -95.15 eV per formula unit

```
Li3CrP2O8
1.0
-6.135 -2.620 7.320
6.702 -3.549 4.347
8.260 9.731 10.405
Li Cr P O
24 8 16 64
Direct
0.399 0.988 0.444
0.887 0.623 0.793
0.622 0.586 0.729
0.087 0.273 0.018
0.112 0.024 0.248
0.585 0.255 0.003
0.085 0.745 0.497
0.612 0.976 0.252
0.587 0.727 0.482
0.122 0.414 0.771
0.387 0.377 0.707
0.899 0.012 0.056
0.101 0.988 0.944
0.613 0.623 0.293
0.878 0.586 0.229
0.413 0.273 0.518
0.388 0.024 0.748
0.915 0.255 0.503
0.415 0.745 0.997
0.888 0.976 0.752
0.913 0.727 0.982
0.378 0.414 0.271
0.113 0.377 0.207
0.601 0.012 0.556
0.854 0.031 0.386
0.378 0.559 0.860
0.878 0.441 0.640
0.354 0.969 0.114
0.646 0.031 0.886
0.122 0.559 0.360
0.622 0.441 0.140
0.146 0.969 0.614
0.849 0.259 0.161
0.364 0.776 0.636
0.850 0.830 0.598
0.340 0.358 0.089
0.840 0.642 0.411
0.350 0.170 0.902
0.864 0.224 0.864
0.349 0.741 0.339
0.651 0.259 0.661
0.136 0.776 0.136
0.650 0.830 0.098
0.160 0.358 0.589
0.660 0.642 0.911
0.150 0.170 0.402
0.636 0.224 0.364
0.151 0.741 0.839
0.053 0.020 0.418
0.580 0.595 0.844
0.766 0.771 0.685
0.191 0.320 0.116
0.356 0.514 0.991
0.929 0.154 0.253
0.755 0.900 0.512
0.654 0.064 0.345
0.166 0.549 0.853
0.403 0.605 0.724
0.920 0.237 0.085
0.697 0.204 0.168
0.476 0.816 0.565
0.218 0.755 0.606
0.937 0.680 0.602
0.412 0.198 0.094
0.912 0.802 0.406
0.437 0.320 0.898
0.718 0.245 0.894
0.197 0.796 0.332
0.976 0.184 0.935
0.420 0.763 0.415
0.903 0.395 0.776
0.666 0.451 0.647
0.154 0.936 0.155
0.255 0.100 0.988
0.429 0.846 0.247
0.691 0.680 0.384
0.856 0.486 0.509
0.266 0.229 0.815
0.553 0.980 0.082
0.080 0.405 0.656
0.920 0.595 0.344
0.447 0.020 0.918
0.734 0.771 0.185
0.144 0.514 0.491
0.309 0.320 0.616
0.571 0.154 0.753
0.745 0.900 0.012
0.846 0.064 0.845
0.334 0.549 0.353
0.097 0.605 0.224
0.580 0.237 0.585
0.024 0.816 0.065
0.803 0.204 0.668
0.282 0.755 0.106
0.563 0.680 0.102
0.088 0.198 0.594
0.588 0.802 0.906
0.063 0.320 0.398
0.782 0.245 0.394
0.524 0.184 0.435
0.303 0.796 0.832
0.080 0.763 0.915
0.597 0.395 0.276
0.834 0.451 0.147
0.346 0.936 0.655
0.245 0.100 0.488
0.071 0.846 0.747
0.644 0.486 0.009
0.809 0.680 0.884
0.234 0.229 0.315
0.420 0.405 0.156
0.947 0.980 0.582
```

LiCrPO4 | PBE+U | relaxed

Computed properties:
E_form   -2.4850 eV/atom
Density   3.28 g/cm³
Calculated total energy   -49.42 eV per formula unit

```
LiCrPO4
1.0
4.009 -3.151 -0.131
2.639 -0.404 4.456
-3.944 -4.826 1.834
Li Cr P O
2 2 2 8
Direct
0.698 0.654 0.750
0.366 0.345 0.246
0.976 0.008 0.520
0.012 0.996 0.004
0.703 0.618 0.245
0.301 0.373 0.748
0.177 0.714 0.758
0.800 0.724 0.442
0.812 0.704 0.051
0.369 0.725 0.238
0.042 0.279 0.744
0.484 0.254 0.943
0.466 0.280 0.549
0.863 0.277 0.255
```

Number 4 is which compound?
Li3CrP2O8